Entry 1:
Computed, not measured: an optimized crystal structure of H2Pb4CCl6O4 at the PBE level of DFT.

abc: 4.261 9.313 16.906
angles: 90.00 92.03 90.00
Fractional coordinates of all 34 atoms:
H: 0.249 0.167 0.098
H: 0.249 0.333 0.098
H: 0.751 0.667 0.902
H: 0.751 0.833 0.902
Pb: 0.189 0.010 0.732
Pb: 0.189 0.490 0.732
Pb: 0.253 0.750 0.512
Pb: 0.261 0.750 0.042
Pb: 0.739 0.250 0.958
Pb: 0.747 0.250 0.488
Pb: 0.811 0.510 0.268
Pb: 0.811 0.990 0.268
C: 0.413 0.250 0.245
C: 0.587 0.750 0.755
Cl: 0.231 0.031 0.912
Cl: 0.231 0.469 0.912
Cl: 0.237 0.050 0.415
Cl: 0.237 0.450 0.415
Cl: 0.256 0.250 0.605
Cl: 0.289 0.750 0.219
Cl: 0.711 0.250 0.781
Cl: 0.744 0.750 0.395
Cl: 0.763 0.550 0.585
Cl: 0.763 0.950 0.585
Cl: 0.769 0.531 0.088
Cl: 0.769 0.969 0.088
O: 0.249 0.250 0.062
O: 0.294 0.128 0.223
O: 0.294 0.372 0.223
O: 0.325 0.750 0.712
O: 0.675 0.250 0.288
O: 0.706 0.628 0.777
O: 0.706 0.872 0.777
O: 0.751 0.750 0.938

Properties
Its space group is No. 11.

***

Entry 2:
Computed, not measured: an optimized crystal structure of H2RuC3Cl2O4 at the PBE level of DFT.

abc: 6.329 10.430 12.817
angles: 90.00 111.56 90.00
Fractional coordinates of all 48 atoms:
H: 0.238 0.077 0.075
H: 0.238 0.423 0.575
H: 0.240 0.507 0.476
H: 0.240 0.993 0.976
H: 0.760 0.007 0.024
H: 0.760 0.493 0.524
H: 0.762 0.577 0.425
H: 0.762 0.923 0.925
Ru: 0.034 0.221 0.887
Ru: 0.034 0.279 0.387
Ru: 0.966 0.721 0.613
Ru: 0.966 0.779 0.113
C: 0.176 0.666 0.213
C: 0.176 0.834 0.713
C: 0.204 0.140 0.475
C: 0.204 0.360 0.975
C: 0.212 0.215 0.795
C: 0.212 0.285 0.295
C: 0.788 0.715 0.705
C: 0.788 0.785 0.205
C: 0.796 0.640 0.025
C: 0.796 0.860 0.525
C: 0.824 0.166 0.287
C: 0.824 0.334 0.787
Cl: 0.181 0.538 0.717
Cl: 0.181 0.962 0.217
Cl: 0.193 0.720 0.495
Cl: 0.193 0.780 0.995
Cl: 0.807 0.220 0.005
Cl: 0.807 0.280 0.505
Cl: 0.819 0.038 0.783
Cl: 0.819 0.462 0.283
O: 0.261 0.083 0.003
O: 0.261 0.417 0.503
O: 0.302 0.055 0.528
O: 0.302 0.445 0.028
O: 0.310 0.598 0.272
O: 0.310 0.902 0.772
O: 0.317 0.211 0.738
O: 0.317 0.289 0.238
O: 0.683 0.711 0.762
O: 0.683 0.789 0.262
O: 0.690 0.098 0.228
O: 0.690 0.402 0.728
O: 0.698 0.555 0.972
O: 0.698 0.945 0.472
O: 0.739 0.583 0.497
O: 0.739 0.917 0.997

Properties
Its space group is No. 14.

***

Entry 3:
Computed, not measured: an optimized crystal structure of Sb2H6CSCl6O6 at the PBE level of DFT.

abc: 9.633 13.095 15.490
angles: 90.00 103.80 110.07
Fractional coordinates of all 88 atoms:
Sb: 0.124 0.242 0.335
Sb: 0.129 0.742 0.200
Sb: 0.167 0.407 0.750
Sb: 0.179 0.908 0.799
Sb: 0.821 0.092 0.201
Sb: 0.833 0.593 0.250
Sb: 0.871 0.258 0.800
Sb: 0.876 0.758 0.665
H: 0.004 0.147 0.669
H: 0.006 0.989 0.347
H: 0.007 0.653 0.834
H: 0.012 0.484 0.155
H: 0.085 0.922 0.432
H: 0.090 0.417 0.094
H: 0.253 0.712 0.508
H: 0.267 0.213 0.061
H: 0.303 0.193 0.953
H: 0.312 0.696 0.626
H: 0.423 0.813 0.579
H: 0.430 0.309 0.031
H: 0.570 0.691 0.969
H: 0.577 0.187 0.421
H: 0.688 0.304 0.374
H: 0.697 0.807 0.047
H: 0.733 0.787 0.939
H: 0.747 0.288 0.492
H: 0.910 0.583 0.906
H: 0.915 0.078 0.568
H: 0.988 0.516 0.845
H: 0.993 0.347 0.166
H: 0.994 0.011 0.653
H: 0.996 0.853 0.331
C: 0.309 0.754 0.575
C: 0.312 0.253 0.006
C: 0.688 0.747 0.994
C: 0.691 0.246 0.425
S: 0.200 0.830 0.598
S: 0.202 0.332 0.960
S: 0.798 0.668 0.040
S: 0.800 0.170 0.402
Cl: 0.059 0.439 0.604
Cl: 0.076 0.946 0.913
Cl: 0.225 0.432 0.365
Cl: 0.225 0.932 0.195
Cl: 0.254 0.697 0.100
Cl: 0.256 0.201 0.471
Cl: 0.303 0.235 0.256
Cl: 0.309 0.594 0.795
Cl: 0.316 0.742 0.330
Cl: 0.325 0.092 0.792
Cl: 0.365 0.365 0.715
Cl: 0.376 0.864 0.894
Cl: 0.624 0.136 0.106
Cl: 0.635 0.635 0.285
Cl: 0.675 0.908 0.208
Cl: 0.684 0.258 0.670
Cl: 0.691 0.406 0.205
Cl: 0.697 0.765 0.744
Cl: 0.744 0.799 0.529
Cl: 0.746 0.303 0.900
Cl: 0.775 0.068 0.805
Cl: 0.775 0.568 0.635
Cl: 0.924 0.054 0.087
Cl: 0.941 0.561 0.396
O: 0.000 0.417 0.805
O: 0.000 0.583 0.195
O: 0.005 0.915 0.375
O: 0.008 0.411 0.126
O: 0.010 0.917 0.695
O: 0.027 0.249 0.736
O: 0.036 0.750 0.774
O: 0.043 0.252 0.922
O: 0.043 0.748 0.592
O: 0.200 0.913 0.536
O: 0.209 0.411 0.028
O: 0.275 0.384 0.887
O: 0.280 0.877 0.693
O: 0.720 0.123 0.307
O: 0.725 0.616 0.113
O: 0.791 0.589 0.972
O: 0.800 0.087 0.464
O: 0.957 0.252 0.408
O: 0.957 0.748 0.078
O: 0.964 0.250 0.226
O: 0.973 0.751 0.264
O: 0.990 0.083 0.305
O: 0.992 0.589 0.874
O: 0.995 0.085 0.625

Properties
Its space group is No. 2.

***

Entry 4:
Computed, not measured: an optimized crystal structure of Sb2H8C3SCl6O5 at the PBE level of DFT.

abc: 6.554 33.278 9.035
angles: 90.00 111.40 90.00
Fractional coordinates of all 100 atoms:
Sb: 0.033 0.105 0.418
Sb: 0.033 0.395 0.918
Sb: 0.161 0.170 0.700
Sb: 0.161 0.330 0.200
Sb: 0.839 0.670 0.800
Sb: 0.839 0.830 0.300
Sb: 0.967 0.605 0.082
Sb: 0.967 0.895 0.582
H: 0.109 0.518 0.669
H: 0.109 0.982 0.169
H: 0.169 0.195 0.295
H: 0.169 0.305 0.795
H: 0.242 0.576 0.550
H: 0.242 0.924 0.050
H: 0.257 0.586 0.749
H: 0.257 0.914 0.249
H: 0.332 0.504 0.612
H: 0.332 0.996 0.112
H: 0.374 0.512 0.817
H: 0.374 0.988 0.317
H: 0.391 0.209 0.472
H: 0.391 0.291 0.972
H: 0.428 0.168 0.359
H: 0.428 0.332 0.859
H: 0.572 0.668 0.141
H: 0.572 0.832 0.641
H: 0.609 0.709 0.028
H: 0.609 0.791 0.528
H: 0.626 0.012 0.683
H: 0.626 0.488 0.183
H: 0.668 0.004 0.888
H: 0.668 0.496 0.388
H: 0.743 0.086 0.751
H: 0.743 0.414 0.251
H: 0.758 0.076 0.950
H: 0.758 0.424 0.450
H: 0.831 0.695 0.205
H: 0.831 0.805 0.705
H: 0.891 0.018 0.831
H: 0.891 0.482 0.331
C: 0.284 0.522 0.695
C: 0.284 0.978 0.195
C: 0.310 0.184 0.397
C: 0.310 0.316 0.897
C: 0.318 0.567 0.675
C: 0.318 0.933 0.175
C: 0.682 0.067 0.825
C: 0.682 0.433 0.325
C: 0.690 0.684 0.103
C: 0.690 0.816 0.603
C: 0.716 0.022 0.805
C: 0.716 0.478 0.305
S: 0.400 0.080 0.774
S: 0.400 0.420 0.274
S: 0.600 0.580 0.726
S: 0.600 0.920 0.226
Cl: 0.062 0.171 0.923
Cl: 0.062 0.329 0.423
Cl: 0.078 0.723 0.934
Cl: 0.078 0.777 0.434
Cl: 0.179 0.547 0.113
Cl: 0.179 0.953 0.613
Cl: 0.214 0.087 0.246
Cl: 0.214 0.413 0.746
Cl: 0.238 0.643 0.279
Cl: 0.238 0.857 0.779
Cl: 0.467 0.213 0.798
Cl: 0.467 0.287 0.298
Cl: 0.533 0.713 0.702
Cl: 0.533 0.787 0.202
Cl: 0.762 0.143 0.221
Cl: 0.762 0.357 0.721
Cl: 0.786 0.587 0.254
Cl: 0.786 0.913 0.754
Cl: 0.821 0.047 0.387
Cl: 0.821 0.453 0.887
Cl: 0.922 0.223 0.566
Cl: 0.922 0.277 0.066
Cl: 0.938 0.671 0.577
Cl: 0.938 0.829 0.077
O: 0.040 0.625 0.900
O: 0.040 0.875 0.400
O: 0.238 0.157 0.495
O: 0.238 0.343 0.995
O: 0.301 0.056 0.861
O: 0.301 0.074 0.594
O: 0.301 0.426 0.094
O: 0.301 0.444 0.361
O: 0.405 0.125 0.810
O: 0.405 0.375 0.310
O: 0.595 0.625 0.690
O: 0.595 0.875 0.190
O: 0.699 0.556 0.639
O: 0.699 0.574 0.906
O: 0.699 0.926 0.406
O: 0.699 0.944 0.139
O: 0.762 0.657 0.005
O: 0.762 0.843 0.505
O: 0.960 0.125 0.600
O: 0.960 0.375 0.100

Properties
Its space group is No. 14.

***

Entry 5:
Computed, not measured: an optimized crystal structure of TcH12C4S2Cl4O2 at the PBE level of DFT.

abc: 9.169 9.437 14.452
angles: 105.17 101.74 91.33
Fractional coordinates of all 75 atoms:
Tc: 0.000 0.000 0.000
Tc: 0.342 0.295 0.644
Tc: 0.658 0.705 0.356
H: 0.024 0.915 0.390
H: 0.037 0.669 0.549
H: 0.041 0.967 0.281
H: 0.092 0.806 0.666
H: 0.098 0.423 0.193
H: 0.107 0.622 0.238
H: 0.109 0.853 0.555
H: 0.113 0.509 0.322
H: 0.122 0.379 0.900
H: 0.129 0.579 0.941
H: 0.203 0.916 0.355
H: 0.295 0.489 0.919
H: 0.374 0.072 0.888
H: 0.374 0.849 0.743
H: 0.425 0.934 0.073
H: 0.426 0.153 0.217
H: 0.493 0.839 0.656
H: 0.499 0.237 0.917
H: 0.501 0.763 0.083
H: 0.507 0.161 0.344
H: 0.574 0.847 0.783
H: 0.575 0.066 0.927
H: 0.626 0.151 0.257
H: 0.626 0.928 0.112
H: 0.705 0.511 0.081
H: 0.797 0.084 0.645
H: 0.871 0.421 0.059
H: 0.878 0.621 0.100
H: 0.887 0.491 0.678
H: 0.891 0.147 0.445
H: 0.893 0.378 0.762
H: 0.902 0.577 0.807
H: 0.908 0.194 0.334
H: 0.959 0.033 0.719
H: 0.963 0.331 0.451
H: 0.976 0.085 0.610
C: 0.044 0.787 0.587
C: 0.068 0.517 0.247
C: 0.097 0.968 0.356
C: 0.173 0.483 0.897
C: 0.484 0.882 0.733
C: 0.485 0.117 0.888
C: 0.515 0.883 0.112
C: 0.516 0.118 0.267
C: 0.827 0.517 0.103
C: 0.903 0.032 0.644
C: 0.932 0.483 0.753
C: 0.956 0.213 0.413
S: 0.131 0.495 0.773
S: 0.142 0.156 0.424
S: 0.491 0.922 0.236
S: 0.509 0.078 0.764
S: 0.858 0.844 0.576
S: 0.869 0.505 0.227
Cl: 0.113 0.880 0.867
Cl: 0.119 0.845 0.095
Cl: 0.209 0.178 0.065
Cl: 0.288 0.481 0.567
Cl: 0.467 0.782 0.436
Cl: 0.496 0.551 0.220
Cl: 0.504 0.449 0.780
Cl: 0.533 0.218 0.564
Cl: 0.712 0.519 0.433
Cl: 0.791 0.822 0.935
Cl: 0.881 0.155 0.905
Cl: 0.887 0.120 0.133
O: 0.160 0.339 0.711
O: 0.186 0.146 0.532
O: 0.359 0.119 0.706
O: 0.641 0.881 0.294
O: 0.814 0.854 0.468
O: 0.840 0.661 0.289

Properties
Its space group is No. 2.

***

| no. | calculated formation energy (eV/f.u.) |
| --- | --- |
| 1 | -23.09 |
| 2 | -12.63 |
| 3 | -22.90 |
| 4 | -19.40 |
| 5 | -11.42 |